Computed, not measured: PuF4 after structural relaxation at the PBE level of DFT.

Lattice parameters (Å, degrees): 8.325 8.325 8.324 63.07 63.07 80.44
Fractional coordinates of all 30 atoms:
Pu1 0.633 0.777 0.669
Pu2 0.367 0.223 0.331
Pu3 0.223 0.367 0.831
Pu4 0.777 0.633 0.169
Pu5 0.786 0.214 0.750
Pu6 0.214 0.786 0.250
F1 0.320 0.258 0.605
F2 0.680 0.742 0.395
F3 0.742 0.680 0.895
F4 0.258 0.320 0.105
F5 0.826 0.935 0.956
F6 0.174 0.065 0.044
F7 0.065 0.174 0.544
F8 0.935 0.826 0.456
F9 0.397 0.603 0.750
F10 0.603 0.397 0.250
F11 0.500 0.000 0.500
F12 0.000 0.500 0.000
F13 0.504 0.259 0.781
F14 0.496 0.741 0.219
F15 0.741 0.496 0.719
F16 0.259 0.504 0.281
F17 0.401 0.814 0.928
F18 0.599 0.186 0.072
F19 0.186 0.599 0.572
F20 0.814 0.401 0.428
F21 0.726 0.028 0.651
F22 0.274 0.972 0.349
F23 0.972 0.274 0.849
F24 0.028 0.726 0.151

Computed properties:
Crystal system: monoclinic
Space group: C2/c (15)

=====

Computed, not measured: Sr3CaN2Cl2 after structural relaxation at the PBE level of DFT.

Lattice parameters (Å, degrees): 7.368 7.368 6.673 81.34 81.34 30.30
Fractional coordinates of all 8 atoms:
Sr1 0.850 0.850 0.381
Sr2 0.157 0.157 0.615
Sr3 0.654 0.654 0.115
Ca1 0.338 0.338 0.890
N1 0.754 0.754 0.755
N2 0.252 0.252 0.243
Cl1 0.500 0.500 0.508
Cl2 0.996 0.996 0.993

Computed properties:
Crystal system: monoclinic
Space group: Cm (8)
Total moment (μB per formula unit): 0.0

=====

no.,energy relative to the elements (eV per atom),density (g/cm3)
1,-3.80,7.0
2,-1.60,3.7